Li2Mn3TeO8 after structural relaxation, computed with PBE with a Hubbard U.

Energy of formation   -1996 meV/atom
E above lowest polymorph   0.0027 eV/atom

Cell: 6.092 6.117 10.808 Å, 90.80 105.48 119.65°
Space group P-1 (No. 2)
Inequivalent atoms, fractional coordinates:
Li  0.140  0.064  0.210 (multiplicity 2)
Li  0.150  0.570  0.709 (multiplicity 2)
Mn  0.000  0.000  0.500 (multiplicity 1)
Mn  0.000  0.500  0.000 (multiplicity 1)
Mn  0.500  0.000  0.000 (multiplicity 1)
Mn  0.500  0.000  0.500 (multiplicity 1)
Mn  0.500  0.500  0.000 (multiplicity 1)
Mn  0.500  0.500  0.500 (multiplicity 1)
Te  0.484  0.736  0.250 (multiplicity 2)
O  0.256  0.839  0.132 (multiplicity 2)
O  0.260  0.629  0.363 (multiplicity 2)
O  0.263  0.611  0.909 (multiplicity 2)
O  0.270  0.401  0.134 (multiplicity 2)
O  0.285  0.152  0.861 (multiplicity 2)
O  0.293  0.375  0.632 (multiplicity 2)
O  0.297  0.925  0.636 (multiplicity 2)
O  0.300  0.149  0.409 (multiplicity 2)